Record 1
Material: KSbSe2
Method: DFT, PBE
State: optimized geometry

Properties
Space-group type: No. 13
E (eV/atom): -3.759

Cell lengths 6.595, 6.660, 13.535 Å; angles 67.64, 90.00, 90.00 degrees
Fractional coordinates of all 16 atoms:
Se1 0.771 0.213 0.355
Se2 0.810 0.371 0.614
Se3 0.229 0.787 0.645
Se4 0.771 0.787 0.145
Se5 0.190 0.629 0.386
Se6 0.190 0.371 0.114
Se7 0.810 0.629 0.886
Se8 0.229 0.213 0.855
Sb1 0.798 0.419 0.121
Sb2 0.202 0.419 0.621
Sb3 0.798 0.581 0.379
Sb4 0.202 0.581 0.879
K1 0.262 0.864 0.120
K2 0.262 0.136 0.380
K3 0.738 0.136 0.880
K4 0.738 0.864 0.620



Record 2
Material: KThSb2Se6
Method: DFT, PBE
State: optimized geometry

Properties
Space-group type: No. 14
E (eV/atom): -4.688

Cell lengths 15.317, 4.300, 17.294 Å; angles 87.40, 90.00, 90.00 degrees
Fractional coordinates of all 40 atoms:
Se1 0.581 0.320 0.908
Se2 0.171 0.731 0.373
Se3 0.671 0.269 0.127
Se4 0.795 0.791 0.985
Se5 0.513 0.180 0.441
Se6 0.971 0.664 0.803
Se7 0.205 0.209 0.015
Se8 0.327 0.212 0.289
Se9 0.081 0.680 0.592
Se10 0.829 0.269 0.627
Se11 0.919 0.320 0.408
Se12 0.471 0.336 0.697
Se13 0.419 0.680 0.092
Se14 0.173 0.212 0.789
Se15 0.987 0.180 0.941
Se16 0.673 0.788 0.711
Se17 0.013 0.820 0.059
Se18 0.827 0.788 0.211
Se19 0.029 0.336 0.197
Se20 0.329 0.731 0.873
Se21 0.705 0.791 0.485
Se22 0.529 0.664 0.303
Se23 0.487 0.820 0.559
Se24 0.295 0.209 0.515
Th1 0.371 0.700 0.409
Th2 0.129 0.700 0.909
Th3 0.629 0.300 0.591
Th4 0.871 0.300 0.091
K1 0.287 0.735 0.673
K2 0.213 0.735 0.173
K3 0.787 0.265 0.827
K4 0.713 0.265 0.327
Sb1 0.974 0.754 0.297
Sb2 0.126 0.269 0.474
Sb3 0.874 0.731 0.526
Sb4 0.474 0.246 0.203
Sb5 0.526 0.754 0.797
Sb6 0.026 0.246 0.703
Sb7 0.626 0.731 0.026
Sb8 0.374 0.269 0.974



Record 3
Material: KU2SbSe8
Method: DFT, PBE
State: optimized geometry

Properties
Space-group type: No. 8
E (eV/atom): -5.505

Cell lengths 7.119, 7.119, 7.753 Å; angles 81.21, 81.21, 109.53 degrees
Fractional coordinates of all 12 atoms:
Se1 0.294 0.596 0.232
Se2 0.081 0.798 0.228
Se3 0.798 0.081 0.228
Se4 0.774 0.774 0.908
Se5 0.810 0.324 0.734
Se6 0.271 0.271 0.910
Se7 0.324 0.810 0.734
Se8 0.596 0.294 0.232
U1 0.500 0.000 0.000
U2 0.000 0.500 0.000
K1 0.116 0.116 0.535
Sb1 0.575 0.575 0.695



Record 4
Material: KSnSb
Method: DFT, PBE
State: optimized geometry

Properties
Space-group type: No. 186
E (eV/atom): -3.417
Maximum piezoelectric response (C/m²): 0.4

Cell lengths 4.447, 4.447, 13.298 Å; angles 90.00, 90.00, 120.00 degrees
Fractional coordinates of all 6 atoms:
Sb1 0.333 0.667 0.688
Sb2 0.667 0.333 0.188
K1 0.667 0.333 0.500
K2 0.333 0.667 0.000
Sn1 0.000 0.000 0.297
Sn2 0.000 0.000 0.797



Record 5
Material: K8SnSb4
Method: DFT, PBE
State: optimized geometry

Properties
Space-group type: No. 227
E (eV/atom): -2.702

Cell lengths 11.670, 11.670, 11.670 Å; angles 60.00, 60.00, 60.00 degrees
Fractional coordinates of all 26 atoms:
K1 0.227 0.773 0.773
K2 0.023 0.477 0.023
K3 0.125 0.625 0.625
K4 0.625 0.625 0.125
K5 0.477 0.023 0.023
K6 0.625 0.125 0.625
K7 0.477 0.477 0.023
K8 0.773 0.227 0.227
K9 0.773 0.227 0.773
K10 0.023 0.023 0.477
K11 0.625 0.625 0.625
K12 0.477 0.023 0.477
K13 0.023 0.477 0.477
K14 0.227 0.773 0.227
K15 0.773 0.773 0.227
K16 0.227 0.227 0.773
Sb1 0.809 0.397 0.397
Sb2 0.397 0.809 0.397
Sb3 0.441 0.853 0.853
Sb4 0.397 0.397 0.809
Sb5 0.853 0.441 0.853
Sb6 0.397 0.397 0.397
Sb7 0.853 0.853 0.853
Sb8 0.853 0.853 0.441
Sn1 0.750 0.750 0.750
Sn2 0.500 0.500 0.500



Record 6
Material: K3SbTe3
Method: DFT, PBE
State: optimized geometry

Properties
Space-group type: No. 198
E (eV/atom): -3.196

Cell lengths 10.587, 10.587, 10.587 Å; angles 90.00, 90.00, 90.00 degrees
Fractional coordinates of all 28 atoms:
K1 0.419 0.081 0.919
K2 0.816 0.816 0.816
K3 0.321 0.321 0.321
K4 0.821 0.179 0.679
K5 0.081 0.919 0.419
K6 0.316 0.684 0.184
K7 0.179 0.679 0.821
K8 0.684 0.184 0.316
K9 0.581 0.581 0.581
K10 0.679 0.821 0.179
K11 0.919 0.419 0.081
K12 0.184 0.316 0.684
Te1 0.776 0.108 0.002
Te2 0.002 0.776 0.108
Te3 0.108 0.002 0.776
Te4 0.498 0.224 0.608
Te5 0.224 0.608 0.498
Te6 0.502 0.724 0.892
Te7 0.392 0.998 0.276
Te8 0.608 0.498 0.224
Te9 0.892 0.502 0.724
Te10 0.276 0.392 0.998
Te11 0.724 0.892 0.502
Te12 0.998 0.276 0.392
Sb1 0.471 0.971 0.529
Sb2 0.529 0.471 0.971
Sb3 0.029 0.029 0.029
Sb4 0.971 0.529 0.471



Record 7
Material: K8Sb2Te
Method: DFT, PBE
State: optimized geometry

Properties
Space-group type: No. 119
E (eV/atom): -2.341

Cell lengths 10.356, 10.356, 10.356 Å; angles 132.01, 132.01, 70.21 degrees
Fractional coordinates of all 11 atoms:
K1 0.348 0.387 0.503
K2 0.155 0.116 0.503
K3 0.613 0.652 0.497
K4 0.613 0.116 0.961
K5 0.884 0.845 0.497
K6 0.884 0.387 0.039
K7 0.155 0.652 0.039
K8 0.348 0.845 0.961
Sb1 0.500 0.500 0.000
Sb2 0.250 0.750 0.500
Te1 0.000 0.000 0.000



Record 8
Material: KZnSb
Method: DFT, PBE
State: optimized geometry

Properties
Space-group type: No. 187
E (eV/atom): -2.557
Maximum piezoelectric response (C/m²): 0.3

Cell lengths 4.569, 4.569, 5.446 Å; angles 90.00, 90.00, 120.00 degrees
Fractional coordinates of all 3 atoms:
Zn1 0.333 0.667 0.500
Sb1 0.667 0.333 0.500
K1 0.000 0.000 0.000



Q: Number 7 is which compound?
A: K8Sb2Te